No. 1
Computed, not measured: a geometry-optimized CeB2Ru2 structure at the PBE level of DFT.

abc: 6.582 8.962 10.010
angles: 90.00 90.00 90.00
Space group Fddd (No. 70, origin choice 2)
Inequivalent atoms, fractional coordinates:
Ce 0.125 0.125 0.125 [8 per cell]
B 0.125 0.309 0.625 [16 per cell]
Ru 0.125 0.125 0.487 [16 per cell]



No. 2
Computed, not measured: a geometry-optimized NaNb10O18 structure at the PBE level of DFT.

abc: 7.932 9.478 10.419
angles: 90.00 110.40 90.00
Space group P2_1/c (No. 14)
Inequivalent atoms, fractional coordinates:
Na 0.000 0.000 0.000 [2 per cell]
Nb 0.004 0.116 0.669 [4 per cell]
Nb 0.180 0.630 0.123 [4 per cell]
Nb 0.197 0.126 0.481 [4 per cell]
Nb 0.397 0.113 0.270 [4 per cell]
Nb 0.398 0.630 0.439 [4 per cell]
O 0.011 0.239 0.850 [4 per cell]
O 0.196 0.747 0.461 [4 per cell]
O 0.200 0.005 0.303 [4 per cell]
O 0.200 0.513 0.304 [4 per cell]
O 0.202 0.247 0.146 [4 per cell]
O 0.394 0.007 0.098 [4 per cell]
O 0.400 0.503 0.108 [4 per cell]
O 0.411 0.737 0.274 [4 per cell]
O 0.417 0.244 0.432 [4 per cell]



No. 3
Computed, not measured: a geometry-optimized BaP3 structure at the PBE level of DFT.

abc: 6.605 7.847 8.259
angles: 90.00 105.20 90.00
Space group P2_1/c (No. 14)
Inequivalent atoms, fractional coordinates:
Ba 0.189 0.111 0.303 [4 per cell]
P 0.198 0.729 0.542 [4 per cell]
P 0.312 0.542 0.188 [4 per cell]
P 0.462 0.632 0.447 [4 per cell]



No. 4
Computed, not measured: a geometry-optimized LaPO4 structure at the PBE level of DFT.

abc: 6.542 7.149 8.332
angles: 90.00 125.97 90.00
Space group P2_1/c (No. 14)
Inequivalent atoms, fractional coordinates:
La 0.186 0.159 0.285 [4 per cell]
P 0.307 0.662 0.196 [4 per cell]
O 0.117 0.671 0.619 [4 per cell]
O 0.192 0.507 0.250 [4 per cell]
O 0.333 0.604 0.029 [4 per cell]
O 0.420 0.213 0.129 [4 per cell]



No. 5
Computed, not measured: a geometry-optimized K2P4PtCSNO11 structure at the PBE level of DFT.

## Properties
Total magnetization in μB/cell: 2.00

abc: 7.912 10.987 11.192
angles: 62.96 76.75 70.69
Space group P-1 (No. 2)
Inequivalent atoms, fractional coordinates:
K 0.025 0.142 0.169 [2 per cell]
K 0.250 0.201 0.715 [2 per cell]
P 0.050 0.553 0.157 [2 per cell]
P 0.239 0.463 0.946 [2 per cell]
P 0.459 0.222 0.412 [2 per cell]
P 0.467 0.808 0.856 [2 per cell]
Pt 0.463 0.608 0.056 [2 per cell]
C 0.228 0.780 0.243 [2 per cell]
S 0.439 0.691 0.227 [2 per cell]
N 0.079 0.846 0.257 [2 per cell]
O 0.006 0.496 0.304 [2 per cell]
O 0.078 0.988 0.473 [2 per cell]
O 0.143 0.366 0.918 [2 per cell]
O 0.146 0.431 0.101 [2 per cell]
O 0.163 0.660 0.087 [2 per cell]
O 0.187 0.612 0.846 [2 per cell]
O 0.283 0.906 0.852 [2 per cell]
O 0.315 0.149 0.475 [2 per cell]
O 0.367 0.144 0.171 [2 per cell]
O 0.452 0.729 0.522 [2 per cell]
O 0.475 0.742 0.739 [2 per cell]



No. 6
Computed, not measured: a geometry-optimized Na8Ca3TiP6O24 structure at the PBE level of DFT.

## Properties
Total magnetization in μB/cell: 0.00

abc: 9.3603 9.3603 22.6935
angles: 90.00 90.00 120.00
Space group P3 (No. 143)
Inequivalent atoms, fractional coordinates:
Na 0.0000 0.0000 0.0743 [1 per cell]
Na 0.0000 0.0000 0.5782 [1 per cell]
Na 0.0286 0.3400 0.1572 [3 per cell]
Na 0.0370 0.6970 0.6594 [3 per cell]
Na 0.3266 0.0217 0.4914 [3 per cell]
Na 0.3334 0.3017 0.0000 [3 per cell]
Na 0.3333 0.6667 0.2435 [1 per cell]
Na 0.3333 0.6667 0.7490 [1 per cell]
Na 0.3732 0.3689 0.3255 [3 per cell]
Na 0.3735 0.0035 0.8358 [3 per cell]
Na 0.6667 0.3333 0.4063 [1 per cell]
Na 0.6667 0.3333 0.9234 [1 per cell]
Ca 0.0000 0.0000 0.4287 [1 per cell]
Ca 0.0000 0.0000 0.9298 [1 per cell]
Ca 0.3333 0.6667 0.0936 [1 per cell]
Ca 0.3333 0.6667 0.3970 [1 per cell]
Ca 0.3333 0.6667 0.5934 [1 per cell]
Ca 0.3333 0.6667 0.8971 [1 per cell]
Ca 0.6667 0.3333 0.0705 [1 per cell]
Ca 0.6667 0.3333 0.2582 [1 per cell]
Ca 0.6667 0.3333 0.7606 [1 per cell]
Ti 0.0000 0.0000 0.2317 [1 per cell]
Ti 0.0000 0.0000 0.7313 [1 per cell]
Ti 0.6667 0.3333 0.5658 [1 per cell]
P 0.0007 0.2931 0.3290 [3 per cell]
P 0.0017 0.7100 0.8262 [3 per cell]
P 0.0130 0.6528 0.5013 [3 per cell]
P 0.0233 0.3604 0.9959 [3 per cell]
P 0.3450 0.3216 0.1681 [3 per cell]
P 0.3641 0.0405 0.6635 [3 per cell]
O 0.0050 0.1817 0.2772 [3 per cell]
O 0.0052 0.1857 0.9959 [3 per cell]
O 0.0068 0.8279 0.7719 [3 per cell]
O 0.0855 0.6178 0.4452 [3 per cell]
O 0.1069 0.4594 0.9386 [3 per cell]
O 0.1213 0.6800 0.5555 [3 per cell]
O 0.1255 0.4482 0.0514 [3 per cell]
O 0.1359 0.4712 0.6552 [3 per cell]
O 0.1531 0.6817 0.1630 [3 per cell]
O 0.1644 0.4620 0.3251 [3 per cell]
O 0.1650 0.7072 0.8201 [3 per cell]
O 0.1684 0.1613 0.1764 [3 per cell]
O 0.1913 0.0340 0.6643 [3 per cell]
O 0.1976 0.1827 0.4967 [3 per cell]
O 0.2154 0.1999 0.8831 [3 per cell]
O 0.2218 0.0155 0.3881 [3 per cell]
O 0.4171 0.2855 0.1124 [3 per cell]
O 0.4542 0.3492 0.2222 [3 per cell]
O 0.4609 0.1098 0.7200 [3 per cell]
O 0.4634 0.3130 0.8206 [3 per cell]
O 0.4680 0.1523 0.3238 [3 per cell]
O 0.4682 0.1606 0.6106 [3 per cell]
O 0.4946 0.1507 0.9984 [3 per cell]
O 0.5088 0.3458 0.5102 [3 per cell]



No. 7
Computed, not measured: a geometry-optimized Nb2Hg3SO4F10 structure at the PBE level of DFT.

## Properties
Total magnetization in μB/cell: 0.04

abc: 16.030 18.696 9.492
angles: 90.00 90.00 90.00
Space group Fdd2 (No. 43)
Inequivalent atoms, fractional coordinates:
Nb 0.060 0.307 0.000 [16 per cell]
Hg 0.000 0.000 0.258 [8 per cell]
Hg 0.115 0.100 0.221 [16 per cell]
S 0.000 0.000 0.862 [8 per cell]
O 0.041 0.446 0.451 [16 per cell]
O 0.062 0.035 0.765 [16 per cell]
F 0.042 0.204 0.013 [16 per cell]
F 0.058 0.181 0.486 [16 per cell]
F 0.062 0.313 0.204 [16 per cell]
F 0.074 0.304 0.800 [16 per cell]
F 0.077 0.409 0.993 [16 per cell]



No. 8
Computed, not measured: a geometry-optimized NpIn3 structure at the PBE level of DFT.

## Properties
Total magnetization in μB/cell: 4.15

abc: 4.659 4.659 4.659
angles: 90.00 90.00 90.00
Space group Pm-3m (No. 221)
Inequivalent atoms, fractional coordinates:
Np 0.000 0.000 0.000 [1 per cell]
In 0.000 0.500 0.500 [3 per cell]



Table of calculated formation energy (eV per atom), in record order: -0.54, -2.78, -0.66, -3.50, -1.52, -2.86, -2.52, 0.01
Table of density (Mg/m³), in record order: 8.19, 5.61, 3.70, 4.93, 2.57, 2.67, 5.01, 9.54